# SiO2 (r²SCAN, relaxed)
data_SiO2
_cell_length_a 7.2129
_cell_length_b 7.2129
_cell_length_c 17.3262
_cell_angle_alpha 90.00
_cell_angle_beta 90.00
_cell_angle_gamma 105.27
_symmetry_space_group_name_H-M 'P 1'
_symmetry_Int_Tables_number 1
_symmetry_space_group_name_Hall 'P 1'
loop_
_atom_site_label
_atom_site_fract_x
_atom_site_fract_y
_atom_site_fract_z
Si1 0.6641 0.8739 0.7913
Si2 0.8739 0.6641 0.2087
Si3 0.1261 0.3359 0.7087
Si4 0.3359 0.1261 0.2913
Si5 0.6639 0.9111 0.1261
Si6 0.9111 0.6639 0.8739
Si7 0.0889 0.3361 0.3739
Si8 0.3361 0.0889 0.6261
Si9 0.2322 0.9402 0.1367
Si10 0.9402 0.2322 0.8633
Si11 0.0598 0.7678 0.3633
Si12 0.7678 0.0598 0.6367
Si13 0.2297 0.7703 0.7500
Si14 0.7703 0.2297 0.2500
Si15 0.9696 0.9696 0.0000
Si16 0.0304 0.0304 0.5000
O1 0.7171 0.6989 0.8368
O2 0.6989 0.7171 0.1632
O3 0.3011 0.2829 0.6632
O4 0.2829 0.3011 0.3368
O5 0.7428 0.8958 0.7030
O6 0.8958 0.7428 0.2970
O7 0.1042 0.2572 0.7970
O8 0.2572 0.1042 0.2030
O9 0.4353 0.8231 0.7910
O10 0.8231 0.4353 0.2090
O11 0.1769 0.5647 0.7090
O12 0.5647 0.1769 0.2910
O13 0.7459 0.0784 0.8346
O14 0.0784 0.7459 0.1654
O15 0.9216 0.2541 0.6654
O16 0.2541 0.9216 0.3346
O17 0.7654 0.9524 0.0426
O18 0.9524 0.7654 0.9574
O19 0.0476 0.2346 0.4574
O20 0.2346 0.0476 0.5426
O21 0.4378 0.8973 0.1197
O22 0.8973 0.4378 0.8803
O23 0.1027 0.5622 0.3803
O24 0.5622 0.1027 0.6197
O25 0.7765 0.0794 0.1829
O26 0.0794 0.7765 0.8171
O27 0.9206 0.2235 0.3171
O28 0.2235 0.9206 0.6829
O29 0.1479 0.0127 0.0596
O30 0.0127 0.1479 0.9404
O31 0.9873 0.8521 0.4404
O32 0.8521 0.9873 0.5596
# - energy relative to the elements (meV/atom) = -3002
# - magnetic moment (μB per cell) = 0.00